#i
Compound: Te2Mo3WSe2S4
Source: the Materials Project
Functional: PBE
Structure: optimized geometry

Output
Volume in Å³/cell: 353.7
Crystal system: trigonal
Size of the total moment in μB per atom: 0.000
Space group: P3m1

a b c (Å): 3.310 3.310 37.268
angles (deg): 90.00 90.00 120.00
Element x y z (fractional)
Te (0.667, 0.333, 0.043)
Te (0.667, 0.333, 0.145)
Mo (0.333, 0.667, 0.094)
Mo (0.333, 0.667, 0.470)
Mo (0.667, 0.333, 0.282)
W (0.667, 0.333, 0.658)
Se (0.667, 0.333, 0.425)
Se (0.667, 0.333, 0.515)
S (0.333, 0.667, 0.323)
S (0.333, 0.667, 0.699)
S (0.333, 0.667, 0.241)
S (0.333, 0.667, 0.616)

#ii
Compound: Te2Mo3WSe2S4
Source: the Materials Project
Functional: PBE
Structure: optimized geometry

Output
Volume in Å³/cell: 371.6
Crystal system: trigonal
Size of the total moment in μB per atom: 0.001
Space group: P3m1

a b c (Å): 3.312 3.312 39.122
angles (deg): 90.00 90.00 120.00
Element x y z (fractional)
Te (0.000, 0.000, 0.708)
Te (0.000, 0.000, 0.610)
Mo (0.000, 0.000, 0.094)
Mo (0.000, 0.000, 0.468)
Mo (0.333, 0.667, 0.282)
W (0.333, 0.667, 0.659)
Se (0.333, 0.667, 0.425)
Se (0.333, 0.667, 0.511)
S (0.000, 0.000, 0.321)
S (0.333, 0.667, 0.055)
S (0.333, 0.667, 0.133)
S (0.000, 0.000, 0.243)

#iii
Compound: Te2Mo3WSe2S4
Source: the Materials Project
Functional: PBE
Structure: optimized geometry

Output
Volume in Å³/cell: 356.7
Crystal system: trigonal
Size of the total moment in μB per atom: 0.000
Space group: P3m1

a b c (Å): 3.309 3.309 37.624
angles (deg): 90.00 90.00 120.00
Element x y z (fractional)
Te (0.333, 0.667, 0.333)
Te (0.333, 0.667, 0.231)
Mo (0.333, 0.667, 0.094)
Mo (0.333, 0.667, 0.470)
Mo (0.667, 0.333, 0.282)
W (0.667, 0.333, 0.658)
Se (0.333, 0.667, 0.702)
Se (0.333, 0.667, 0.613)
S (0.667, 0.333, 0.053)
S (0.667, 0.333, 0.429)
S (0.667, 0.333, 0.134)
S (0.667, 0.333, 0.510)

Of them, #ii has the lowest stability.

#i
Compound: Te2MoW3Se2S4
Source: the Materials Project
Functional: PBE
Structure: optimized geometry

Output
Volume in Å³/cell: 357.0
Crystal system: trigonal
Size of the total moment in μB per atom: 0.000
Space group: P3m1

a b c (Å): 3.309 3.309 37.656
angles (deg): 90.00 90.00 120.00
Element x y z (fractional)
Te (0.333, 0.667, 0.709)
Te (0.333, 0.667, 0.606)
Mo (0.667, 0.333, 0.282)
W (0.333, 0.667, 0.094)
W (0.333, 0.667, 0.470)
W (0.667, 0.333, 0.658)
Se (0.667, 0.333, 0.049)
Se (0.667, 0.333, 0.139)
S (0.333, 0.667, 0.322)
S (0.667, 0.333, 0.429)
S (0.667, 0.333, 0.510)
S (0.333, 0.667, 0.241)

#ii
Compound: Te2MoW3Se2S4
Source: the Materials Project
Functional: PBE
Structure: optimized geometry

Output
Volume in Å³/cell: 356.0
Crystal system: trigonal
Size of the total moment in μB per atom: 0.000
Space group: P3m1

a b c (Å): 3.304 3.304 37.662
angles (deg): 90.00 90.00 120.00
Element x y z (fractional)
Te (0.333, 0.667, 0.333)
Te (0.333, 0.667, 0.231)
Mo (0.667, 0.333, 0.282)
W (0.333, 0.667, 0.094)
W (0.333, 0.667, 0.470)
W (0.667, 0.333, 0.658)
Se (0.333, 0.667, 0.702)
Se (0.333, 0.667, 0.613)
S (0.667, 0.333, 0.053)
S (0.667, 0.333, 0.429)
S (0.667, 0.333, 0.135)
S (0.667, 0.333, 0.510)

#iii
Compound: Te2MoW3Se2S4
Source: the Materials Project
Functional: PBE
Structure: optimized geometry

Output
Volume in Å³/cell: 356.8
Crystal system: trigonal
Size of the total moment in μB per atom: 0.000
Space group: P3m1

a b c (Å): 3.307 3.307 37.666
angles (deg): 90.00 90.00 120.00
Element x y z (fractional)
Te (0.000, 0.000, 0.709)
Te (0.000, 0.000, 0.607)
Mo (0.000, 0.000, 0.470)
W (0.000, 0.000, 0.094)
W (0.333, 0.667, 0.282)
W (0.333, 0.667, 0.658)
Se (0.333, 0.667, 0.425)
Se (0.333, 0.667, 0.514)
S (0.000, 0.000, 0.322)
S (0.333, 0.667, 0.053)
S (0.333, 0.667, 0.135)
S (0.000, 0.000, 0.241)

Of them, #i has the lowest stability.

#i
Compound: Te2MoW3Se2S4
Source: the Materials Project
Functional: PBE
Structure: optimized geometry

Output
Volume in Å³/cell: 357.0
Crystal system: trigonal
Size of the total moment in μB per atom: 0.000
Space group: P3m1

a b c (Å): 3.309 3.309 37.663
angles (deg): 90.00 90.00 120.00
Element x y z (fractional)
Te (0.000, 0.000, 0.709)
Te (0.000, 0.000, 0.606)
Mo (0.000, 0.000, 0.470)
W (0.000, 0.000, 0.094)
W (0.333, 0.667, 0.282)
W (0.333, 0.667, 0.658)
Se (0.333, 0.667, 0.049)
Se (0.333, 0.667, 0.139)
S (0.000, 0.000, 0.323)
S (0.333, 0.667, 0.429)
S (0.333, 0.667, 0.510)
S (0.000, 0.000, 0.241)

#ii
Compound: Te2MoW3Se2S4
Source: the Materials Project
Functional: PBE
Structure: optimized geometry

Output
Volume in Å³/cell: 387.9
Crystal system: trigonal
Size of the total moment in μB per atom: 0.000
Space group: P3m1

a b c (Å): 3.307 3.307 40.953
angles (deg): 90.00 90.00 120.00
Element x y z (fractional)
Te (0.333, 0.667, 0.421)
Te (0.333, 0.667, 0.515)
Mo (0.000, 0.000, 0.468)
W (0.000, 0.000, 0.094)
W (0.333, 0.667, 0.281)
W (0.333, 0.667, 0.660)
Se (0.000, 0.000, 0.701)
Se (0.000, 0.000, 0.619)
S (0.000, 0.000, 0.318)
S (0.333, 0.667, 0.057)
S (0.333, 0.667, 0.131)
S (0.000, 0.000, 0.243)

Of them, #i has the lowest stability.

#i
Compound: Te2MoW3Se2S4
Source: the Materials Project
Functional: PBE
Structure: optimized geometry

Output
Volume in Å³/cell: 357.3
Crystal system: trigonal
Size of the total moment in μB per atom: 0.000
Space group: P3m1

a b c (Å): 3.309 3.309 37.695
angles (deg): 90.00 90.00 120.00
Element x y z (fractional)
Te (0.000, 0.000, 0.333)
Te (0.000, 0.000, 0.231)
Mo (0.000, 0.000, 0.470)
W (0.000, 0.000, 0.094)
W (0.333, 0.667, 0.282)
W (0.333, 0.667, 0.658)
Se (0.000, 0.000, 0.702)
Se (0.000, 0.000, 0.613)
S (0.333, 0.667, 0.053)
S (0.333, 0.667, 0.429)
S (0.333, 0.667, 0.135)
S (0.333, 0.667, 0.510)

#ii
Compound: Te2MoW3Se2S4
Source: the Materials Project
Functional: PBE
Structure: optimized geometry

Output
Volume in Å³/cell: 356.7
Crystal system: trigonal
Size of the total moment in μB per atom: 0.000
Space group: P3m1

a b c (Å): 3.307 3.307 37.660
angles (deg): 90.00 90.00 120.00
Element x y z (fractional)
Te (0.333, 0.667, 0.709)
Te (0.333, 0.667, 0.606)
Mo (0.667, 0.333, 0.282)
W (0.333, 0.667, 0.094)
W (0.333, 0.667, 0.470)
W (0.667, 0.333, 0.658)
Se (0.333, 0.667, 0.326)
Se (0.333, 0.667, 0.237)
S (0.667, 0.333, 0.053)
S (0.667, 0.333, 0.429)
S (0.667, 0.333, 0.135)
S (0.667, 0.333, 0.510)

#iii
Compound: Te2MoW3Se2S4
Source: the Materials Project
Functional: PBE
Structure: optimized geometry

Output
Volume in Å³/cell: 363.6
Crystal system: trigonal
Size of the total moment in μB per atom: 0.000
Space group: P3m1

a b c (Å): 3.305 3.305 38.449
angles (deg): 90.00 90.00 120.00
Element x y z (fractional)
Te (0.333, 0.667, 0.043)
Te (0.333, 0.667, 0.142)
Mo (0.000, 0.000, 0.093)
W (0.000, 0.000, 0.470)
W (0.333, 0.667, 0.283)
W (0.333, 0.667, 0.658)
Se (0.000, 0.000, 0.327)
Se (0.000, 0.000, 0.239)
S (0.000, 0.000, 0.698)
S (0.333, 0.667, 0.430)
S (0.333, 0.667, 0.510)
S (0.000, 0.000, 0.618)

Of them, #i has the lowest stability.

#i
Compound: Te2MoW3Se2S4
Source: the Materials Project
Functional: PBE
Structure: optimized geometry

Output
Volume in Å³/cell: 376.2
Crystal system: trigonal
Size of the total moment in μB per atom: 0.000
Space group: P3m1

a b c (Å): 3.308 3.308 39.697
angles (deg): 90.00 90.00 120.00
Element x y z (fractional)
Te (0.667, 0.333, 0.420)
Te (0.667, 0.333, 0.517)
Mo (0.333, 0.667, 0.094)
W (0.333, 0.667, 0.469)
W (0.667, 0.333, 0.281)
W (0.667, 0.333, 0.659)
Se (0.333, 0.667, 0.702)
Se (0.333, 0.667, 0.617)
S (0.333, 0.667, 0.320)
S (0.667, 0.333, 0.055)
S (0.667, 0.333, 0.132)
S (0.333, 0.667, 0.242)

#ii
Compound: Te2MoW3Se2S4
Source: the Materials Project
Functional: PBE
Structure: optimized geometry

Output
Volume in Å³/cell: 392.2
Crystal system: trigonal
Size of the total moment in μB per atom: 0.000
Space group: P3m1

a b c (Å): 3.301 3.301 41.565
angles (deg): 90.00 90.00 120.00
Element x y z (fractional)
Te (0.667, 0.333, 0.424)
Te (0.667, 0.333, 0.517)
Mo (0.667, 0.333, 0.279)
W (0.333, 0.667, 0.094)
W (0.333, 0.667, 0.471)
W (0.667, 0.333, 0.659)
Se (0.333, 0.667, 0.320)
Se (0.333, 0.667, 0.239)
S (0.333, 0.667, 0.696)
S (0.667, 0.333, 0.057)
S (0.667, 0.333, 0.131)
S (0.333, 0.667, 0.622)

#iii
Compound: Te2MoW3Se2S4
Source: the Materials Project
Functional: PBE
Structure: optimized geometry

Output
Volume in Å³/cell: 356.2
Crystal system: trigonal
Size of the total moment in μB per atom: 0.000
Space group: P3m1

a b c (Å): 3.306 3.306 37.635
angles (deg): 90.00 90.00 120.00
Element x y z (fractional)
Te (0.333, 0.667, 0.043)
Te (0.333, 0.667, 0.145)
Mo (0.000, 0.000, 0.094)
W (0.000, 0.000, 0.470)
W (0.333, 0.667, 0.282)
W (0.333, 0.667, 0.658)
Se (0.333, 0.667, 0.425)
Se (0.333, 0.667, 0.515)
S (0.000, 0.000, 0.323)
S (0.000, 0.000, 0.698)
S (0.000, 0.000, 0.241)
S (0.000, 0.000, 0.617)

Of them, #i has the lowest stability.

#i
Compound: Te2MoW3Se2S4
Source: the Materials Project
Functional: PBE
Structure: optimized geometry

Output
Volume in Å³/cell: 382.7
Crystal system: trigonal
Size of the total moment in μB per atom: 0.000
Space group: P3m1

a b c (Å): 3.309 3.309 40.362
angles (deg): 90.00 90.00 120.00
Element x y z (fractional)
Te (0.667, 0.333, 0.423)
Te (0.667, 0.333, 0.518)
Mo (0.333, 0.667, 0.094)
W (0.333, 0.667, 0.471)
W (0.667, 0.333, 0.280)
W (0.667, 0.333, 0.658)
Se (0.333, 0.667, 0.322)
Se (0.333, 0.667, 0.238)
S (0.333, 0.667, 0.696)
S (0.667, 0.333, 0.056)
S (0.667, 0.333, 0.132)
S (0.333, 0.667, 0.620)

#ii
Compound: Te2MoW3Se2S4
Source: the Materials Project
Functional: PBE
Structure: optimized geometry

Output
Volume in Å³/cell: 375.8
Crystal system: trigonal
Size of the total moment in μB per atom: 0.000
Space group: P3m1

a b c (Å): 3.308 3.308 39.669
angles (deg): 90.00 90.00 120.00
Element x y z (fractional)
Te (0.000, 0.000, 0.331)
Te (0.000, 0.000, 0.234)
Mo (0.000, 0.000, 0.092)
W (0.000, 0.000, 0.470)
W (0.333, 0.667, 0.282)
W (0.333, 0.667, 0.658)
Se (0.333, 0.667, 0.050)
Se (0.333, 0.667, 0.135)
S (0.000, 0.000, 0.696)
S (0.333, 0.667, 0.432)
S (0.333, 0.667, 0.509)
S (0.000, 0.000, 0.619)

Of them, #i has the lowest stability.

#i
Compound: Te2MoW3Se2S4
Source: the Materials Project
Functional: PBE
Structure: optimized geometry

Output
Volume in Å³/cell: 358.8
Crystal system: trigonal
Size of the total moment in μB per atom: 0.000
Space group: P3m1

a b c (Å): 3.310 3.310 37.818
angles (deg): 90.00 90.00 120.00
Element x y z (fractional)
Te (0.000, 0.000, 0.709)
Te (0.000, 0.000, 0.607)
Mo (0.000, 0.000, 0.094)
W (0.000, 0.000, 0.470)
W (0.333, 0.667, 0.282)
W (0.333, 0.667, 0.658)
Se (0.333, 0.667, 0.425)
Se (0.333, 0.667, 0.514)
S (0.000, 0.000, 0.322)
S (0.333, 0.667, 0.053)
S (0.333, 0.667, 0.134)
S (0.000, 0.000, 0.241)

#ii
Compound: Te2MoW3Se2S4
Source: the Materials Project
Functional: PBE
Structure: optimized geometry

Output
Volume in Å³/cell: 356.8
Crystal system: trigonal
Size of the total moment in μB per atom: 0.000
Space group: P3m1

a b c (Å): 3.308 3.308 37.653
angles (deg): 90.00 90.00 120.00
Element x y z (fractional)
Te (0.000, 0.000, 0.709)
Te (0.000, 0.000, 0.606)
Mo (0.000, 0.000, 0.094)
W (0.000, 0.000, 0.470)
W (0.333, 0.667, 0.282)
W (0.333, 0.667, 0.658)
Se (0.333, 0.667, 0.049)
Se (0.333, 0.667, 0.139)
S (0.000, 0.000, 0.323)
S (0.333, 0.667, 0.429)
S (0.333, 0.667, 0.510)
S (0.000, 0.000, 0.241)

#iii
Compound: Te2MoW3Se2S4
Source: the Materials Project
Functional: PBE
Structure: optimized geometry

Output
Volume in Å³/cell: 355.6
Crystal system: trigonal
Size of the total moment in μB per atom: 0.000
Space group: P3m1

a b c (Å): 3.304 3.304 37.615
angles (deg): 90.00 90.00 120.00
Element x y z (fractional)
Te (0.333, 0.667, 0.043)
Te (0.333, 0.667, 0.145)
Mo (0.000, 0.000, 0.094)
W (0.000, 0.000, 0.470)
W (0.333, 0.667, 0.282)
W (0.333, 0.667, 0.658)
Se (0.000, 0.000, 0.702)
Se (0.000, 0.000, 0.613)
S (0.000, 0.000, 0.323)
S (0.333, 0.667, 0.429)
S (0.333, 0.667, 0.510)
S (0.000, 0.000, 0.241)

Of them, #i has the lowest stability.